Na2Nb18Tl7P9O72 | the Materials Project database | PBE | optimized geometry; energy of formation = -2.794 eV/atom
1.0
8.617 0.000 0.000
-2.203 8.339 0.000
-0.018 -0.161 23.571
Na Nb Tl P O
2 18 7 9 72
Cartesian
0.000 0.000 0.000
2.108 2.659 15.756
-1.545 5.824 10.520
0.294 2.800 12.164
1.325 2.954 6.817
0.262 8.112 13.063
1.630 3.377 1.138
1.577 4.213 19.383
2.940 0.154 2.787
2.663 5.472 4.191
3.436 5.666 22.415
3.700 6.091 16.923
4.735 2.581 5.209
3.631 7.056 11.565
5.005 2.888 18.485
6.894 -0.092 19.955
7.717 0.178 14.584
7.919 0.643 9.129
6.846 5.278 20.883
8.099 1.564 3.661
-1.243 7.702 5.977
-0.263 7.228 17.702
1.375 6.720 7.411
4.179 0.966 22.664
4.411 3.191 11.837
6.144 4.412 1.864
6.879 4.365 15.101
-0.383 2.005 17.536
-0.105 2.404 21.779
0.237 6.382 0.042
1.754 4.743 9.808
1.998 5.230 14.004
4.533 0.746 15.769
3.950 7.677 1.800
4.168 8.027 6.048
6.761 3.612 7.838
-1.817 7.395 9.369
-0.924 4.162 11.705
-0.161 1.602 10.674
-0.001 1.341 16.186
-0.488 3.977 7.212
0.050 2.771 2.350
-1.323 7.939 14.316
-0.885 6.325 22.519
0.452 2.151 5.242
0.758 1.508 7.934
1.163 0.307 3.415
-0.633 7.000 11.803
0.646 2.184 23.129
-0.105 5.155 19.823
0.230 4.983 0.680
0.730 3.057 17.810
0.925 2.698 20.672
-0.128 7.459 1.099
0.396 5.465 9.717
1.257 3.881 13.751
1.956 1.447 12.460
0.967 6.357 14.121
1.791 3.655 10.893
1.645 4.669 5.537
2.616 1.836 1.451
1.315 6.939 3.736
2.066 4.122 8.411
2.175 4.422 2.670
1.586 6.588 22.982
2.082 5.433 18.028
3.423 0.852 14.696
3.084 2.441 6.375
2.568 4.998 20.844
2.884 4.163 23.535
3.259 3.052 19.104
2.759 5.022 15.346
3.773 1.441 3.935
2.047 7.945 12.093
2.321 7.688 16.430
2.848 5.797 10.105
3.053 5.462 12.890
4.173 1.812 16.848
4.782 0.056 1.674
3.470 6.672 5.768
4.241 4.233 4.430
5.303 0.786 6.159
3.960 6.580 2.877
3.680 7.440 21.318
5.593 1.319 19.470
4.747 4.564 17.199
4.201 7.109 18.483
4.312 7.037 0.423
5.900 1.097 15.140
4.199 8.222 10.176
5.195 5.128 22.112
5.687 3.613 6.729
4.713 7.794 13.011
4.967 7.028 15.742
5.380 5.797 11.296
5.879 4.139 19.663
6.424 2.423 4.112
4.978 7.944 7.367
7.259 0.400 2.067
5.168 8.283 4.887
6.783 2.203 8.483
6.881 2.749 17.398
6.413 4.624 8.955
7.783 1.060 21.505
6.281 6.946 20.225
7.482 3.537 21.917
7.953 1.952 13.547
8.221 0.930 18.639